# Sr4Mn2CoO9 GGA+U optimized geometry
data_Sr4Mn2CoO9
_cell_length_a 9.6971
_cell_length_b 9.6971
_cell_length_c 7.8873
_cell_angle_alpha 90.00
_cell_angle_beta 90.00
_cell_angle_gamma 120.00
_symmetry_space_group_name_H-M 'P 3 2 1'
_symmetry_Int_Tables_number 150
loop_
_symmetry_equiv_pos_as_xyz
'x,y,z'
'-y,x-y,z'
'-x+y,-x,z'
'y,x,-z'
'x-y,-y,-z'
'-x,-x+y,-z'
loop_
_atom_site_label
_atom_site_fract_x
_atom_site_fract_y
_atom_site_fract_z
Sr1 0.0000 0.3276 0.0000
Sr2 0.0000 0.3575 0.5000
Sr3 0.0239 0.6904 0.2498
Mn1 0.0000 0.0000 0.1646
Mn2 0.3333 0.6667 0.0722
Mn3 0.3333 0.6667 0.4054
Co1 0.0000 0.0000 0.5000
Co2 0.3333 0.6667 0.7410
O1 0.0000 0.8477 0.0000
O2 0.0078 0.1649 0.6979
O3 0.1704 0.5191 0.2404
O4 0.1815 0.6822 0.5443
O5 0.1830 0.6794 0.9341
# - formation energy from the elements (eV/f.u.) = -40.17
# - total energy after the MP2020 corrections (Ry/atom) = -0.5370